[1]
First-principles (GGA+U) data for a geometry-optimized RbW3O9 structure, as listed in the Materials Project database.

Lattice parameters (Å, degrees): 7.5359 7.5359 7.7676 90.00 90.00 120.00
Last column: nearest neighbours and their distance in Å.
Positions (direct):
W 0.5049 0.0000 0.2581  6 O 1.94-1.96
W 0.5016 0.0000 0.7581  6 O 1.94-1.95
W 0.4984 0.4984 0.7581  6 O 1.94-1.95
W 0.4951 0.4951 0.2581  6 O 1.94-1.96
W 0.0000 0.5016 0.7581  6 O 1.94-1.95
W 0.0000 0.5049 0.2581  6 O 1.94-1.96
O 0.0011 0.5053 0.0081  2 W 1.94
O 0.2127 0.7919 0.2587  2 W 1.94-1.96
O 0.4208 0.2092 0.7587  2 W 1.95
O 0.4209 0.2082 0.2575  2 W 1.94-1.96
O 0.4947 0.4958 0.0081  2 W 1.94
O 0.5042 0.9989 0.0081  2 W 1.94
O 0.7908 0.2116 0.7587  2 W 1.95
O 0.5044 0.0010 0.5080  2 W 1.94
O 0.7884 0.5792 0.7587  2 W 1.95
O 0.5792 0.7873 0.2587  2 W 1.94-1.96
O 0.2091 0.4206 0.7575  2 W 1.95
O 0.7873 0.5791 0.2575  2 W 1.94-1.96
O 0.5794 0.7885 0.7575  2 W 1.95
O 0.7918 0.2127 0.2575  2 W 1.94-1.96
O 0.4966 0.4956 0.5080  2 W 1.94
O 0.2081 0.4208 0.2587  2 W 1.94-1.96
O 0.2115 0.7909 0.7575  2 W 1.95
O 0.9990 0.5034 0.5080  2 W 1.94
Rb 0.0000 0.0000 0.5056  15 O 3.35-3.74
Rb 0.0000 0.0000 0.9991  12 O 3.32-3.41

Properties
Polymorph energy (0 for the lowest one) (meV per atom): 6
Formation enthalpy at 0 K (eV/atom): -2.24
Space-group type: P3, No. 143

---

[2]
First-principles (GGA+U) data for a geometry-optimized MgCo4Ni2O8 structure, as listed in the Materials Project database.

Lattice parameters (Å, degrees): 6.1527 5.8975 5.8336 59.64 62.79 61.36
Last column: nearest neighbours and their distance in Å.
Positions (direct):
Ni 0.5000 0.5000 0.0000  6 O 1.97-2.12
Ni 0.0000 0.5000 0.5000  6 O 2.11-2.18
O 0.6721 0.2658 0.2962  3 Co 1.88, 1 Ni 1.97
O 0.7310 0.2633 0.7417  2 Co 1.97-2.06, 1 Mg 2.12, 2 Ni 2.12-2.18
O 0.2386 0.2468 0.7678  3 Co 2.03-2.21, 1 Mg 2.07, 1 Ni 2.11
O 0.2690 0.7367 0.2583  2 Co 1.97-2.06, 1 Mg 2.12, 2 Ni 2.12-2.18
O 0.3279 0.7342 0.7038  3 Co 1.88, 1 Ni 1.97
O 0.2690 0.2360 0.2583  2 Co 1.97-2.06, 1 Mg 2.12, 2 Ni 2.12-2.18
O 0.7614 0.7532 0.2322  3 Co 2.03-2.21, 1 Mg 2.07, 1 Ni 2.11
O 0.7310 0.7640 0.7417  2 Co 1.97-2.06, 1 Mg 2.12, 2 Ni 2.12-2.18
Co 0.0348 0.1455 0.1741  4 O 1.88-2.06
Co 0.5000 0.0000 0.5000  4 O 1.88-1.97
Co 0.5000 0.5000 0.5000  4 O 1.88-1.97
Co 0.9652 0.8545 0.8259  4 O 1.88-2.06
Mg 0.5000 0.0000 0.0000  6 O 2.07-2.12

Properties
Polymorph energy (0 for the lowest one) (meV per atom): 135
Formation enthalpy at 0 K (eV/atom): -1.15
Space-group type: C2/m, No. 12

---

[3]
First-principles (GGA+U) data for a geometry-optimized Li9Mn7O16 structure, as listed in the Materials Project database.

Lattice parameters (Å, degrees): 2.8692 19.5744 5.4006 89.37 90.00 85.80
Last column: nearest neighbours and their distance in Å.
Positions (direct):
Li 0.4402 0.1196 0.1817  5 O 2.00-2.23
Li 0.5000 0.0000 0.5000  6 O 2.10-2.25
Li 0.6873 0.6254 0.4371  6 O 2.14-2.20
Li 0.5598 0.8804 0.8183  5 O 2.00-2.23
Li 0.8127 0.3747 0.0622  6 O 2.15-2.20
Li 0.0594 0.8813 0.3173  5 O 2.09-2.32
Li 0.3127 0.3746 0.5629  6 O 2.14-2.20
Li 0.9406 0.1187 0.6827  5 O 2.09-2.32
Li 0.1873 0.6253 0.9378  6 O 2.15-2.20
O 0.4039 0.1922 0.5144  2 Mn 1.96
O 0.6539 0.6921 0.7619  2 Mn 1.97, 3 Li 2.15-2.20
O 0.2210 0.5581 0.6141  2 Mn 1.97, 3 Li 2.16-2.20
O 0.0275 0.9450 0.7031  1 Mn 1.94, 4 Li 2.00-2.10
O 0.4714 0.0572 0.8587  2 Mn 1.97, 3 Li 2.09-2.14
O 0.8458 0.3084 0.7358  2 Mn 1.97, 3 Li 2.14-2.20
O 0.5286 0.9428 0.1413  2 Mn 1.97, 3 Li 2.09-2.14
O 0.7790 0.4419 0.3859  2 Mn 1.97, 3 Li 2.16-2.20
O 0.7210 0.5581 0.1139  2 Mn 1.97, 3 Li 2.16-2.20
O 0.2790 0.4419 0.8861  2 Mn 1.97, 3 Li 2.16-2.20
O 0.3461 0.3079 0.2381  2 Mn 1.97, 3 Li 2.15-2.20
O 0.0970 0.8060 0.9869  2 Mn 1.95
O 0.9030 0.1940 0.0131  2 Mn 1.95
O 0.5961 0.8078 0.4856  2 Mn 1.96
O 0.1542 0.6916 0.2642  2 Mn 1.97, 3 Li 2.14-2.20
O 0.9725 0.0550 0.2969  1 Mn 1.94, 4 Li 2.00-2.10
Mn 0.0000 0.0000 0.0000  6 O 1.94-1.97
Mn 0.1246 0.7508 0.6263  4 O 1.96-1.97
Mn 0.3750 0.2500 0.8729  4 O 1.95-1.97
Mn 0.7500 0.5000 0.7500  4 O 1.97
Mn 0.2500 0.5000 0.2500  4 O 1.97
Mn 0.8754 0.2492 0.3737  4 O 1.96-1.97
Mn 0.6250 0.7500 0.1271  4 O 1.95-1.97

Properties
Polymorph energy (0 for the lowest one) (meV per atom): 41
Formation enthalpy at 0 K (eV/atom): -2.10
Space-group type: C2/m, No. 12

---

[4]
First-principles (GGA+U) data for a geometry-optimized La3SmCr2Fe2O12 structure, as listed in the Materials Project database.

Lattice parameters (Å, degrees): 3.9320 7.8645 7.8654 90.00 90.00 90.00
Last column: nearest neighbours and their distance in Å.
Positions (direct):
O 0.0000 0.2502 0.7488  1 Cr 1.96, 1 Fe 1.98
O 0.5000 0.7483 0.4983  2 Cr 1.97
O 0.5000 0.2514 0.0015  2 Fe 1.97
O 0.0000 0.0000 0.4998  2 Cr 1.97
O 0.5000 0.2517 0.4983  2 Cr 1.97
O 0.0000 0.0000 0.0003  2 Fe 1.97
O 0.0000 0.5000 0.0027  2 Fe 1.96
O 0.5000 0.7486 0.0015  2 Fe 1.97
O 0.0000 0.2529 0.2511  1 Cr 1.95, 1 Fe 1.97
O 0.0000 0.7498 0.7488  1 Cr 1.96, 1 Fe 1.98
O 0.0000 0.7471 0.2511  1 Cr 1.95, 1 Fe 1.97
O 0.0000 0.5000 0.4968  2 Cr 1.96
Cr 0.0000 0.2505 0.4996  6 O 1.95-1.97
Cr 0.0000 0.7495 0.4996  6 O 1.95-1.97
Fe 0.0000 0.7493 0.0007  6 O 1.96-1.98
Fe 0.0000 0.2507 0.0007  6 O 1.96-1.98
Sm 0.5000 0.5000 0.2513  12 O 2.75-2.77
La 0.5000 0.0000 0.7488  12 O 2.78-2.80
La 0.5000 0.5000 0.7488  12 O 2.77-2.80
La 0.5000 0.0000 0.2512  12 O 2.77-2.80

Properties
Formation enthalpy at 0 K (eV/atom): -2.89
Space-group type: Pmm2, No. 25

---

[5]
First-principles (GGA+U) data for a geometry-optimized Li3Mn4O8 structure, as listed in the Materials Project database.

Lattice parameters (Å, degrees): 5.9059 5.9059 10.0152 85.72 85.72 57.90
Last column: nearest neighbours and their distance in Å.
Positions (direct):
Mn 0.5000 0.0000 0.0000  4 O 1.95-1.96
Mn 0.5283 0.5283 0.7691  5 O 1.93-2.10
Mn 0.9994 0.9994 0.7224  4 O 1.95-1.96
Mn 0.0000 0.5000 0.0000  4 O 1.95-1.96
Mn 0.0006 0.0006 0.2776  4 O 1.95-1.96
Mn 0.5000 0.0000 0.5000  6 O 1.94-2.01
Mn 0.4717 0.4717 0.2309  5 O 1.93-2.10
Mn 0.0000 0.5000 0.5000  6 O 1.94-2.01
O 0.8286 0.8286 0.6000  2 Mn 1.96
O 0.3578 0.8388 0.6389  3 Mn 1.95-2.01, 1 Li 2.11
O 0.8193 0.8193 0.1049  2 Mn 1.95, 3 Li 2.06-2.10
O 0.3167 0.8322 0.1555  2 Mn 1.93-1.96, 1 Li 2.00
O 0.1807 0.1807 0.8951  2 Mn 1.95, 3 Li 2.06-2.10
O 0.6750 0.6750 0.4011  2 Mn 1.94, 3 Li 1.99-2.08
O 0.3250 0.3250 0.5989  2 Mn 1.94, 3 Li 1.99-2.08
O 0.6860 0.6860 0.8883  3 Mn 1.96-2.10, 2 Li 2.16
O 0.1612 0.6422 0.3611  3 Mn 1.95-2.01, 1 Li 2.11
O 0.1678 0.6833 0.8445  2 Mn 1.93-1.96, 1 Li 2.00
O 0.8388 0.3578 0.6389  3 Mn 1.95-2.01, 1 Li 2.11
O 0.3140 0.3140 0.1117  3 Mn 1.96-2.10, 2 Li 2.16
O 0.6422 0.1612 0.3611  3 Mn 1.95-2.01, 1 Li 2.11
O 0.6833 0.1678 0.8445  2 Mn 1.93-1.96, 1 Li 2.00
O 0.8322 0.3167 0.1555  2 Mn 1.93-1.96, 1 Li 2.00
O 0.1714 0.1714 0.4000  2 Mn 1.96
Li 0.5031 0.9711 0.2502  6 O 2.00-2.20
Li 0.5000 0.5000 0.5000  2 O 1.99
Li 0.0289 0.4969 0.7498  6 O 2.00-2.20
Li 0.0000 0.0000 0.0000  6 O 2.06-2.27
Li 0.4969 0.0289 0.7498  6 O 2.00-2.20
Li 0.9711 0.5031 0.2502  6 O 2.00-2.20

Properties
Polymorph energy (0 for the lowest one) (meV per atom): 40
Formation enthalpy at 0 K (eV/atom): -2.06
Space-group type: C2/m, No. 12

---

[6]
First-principles (GGA+U) data for a geometry-optimized Li3Fe2Si2O8 structure, as listed in the Materials Project database.

Lattice parameters (Å, degrees): 5.1321 6.5600 10.6647 89.16 90.00 90.00
Last column: nearest neighbours and their distance in Å.
Positions (direct):
O 0.0378 0.6516 0.9448  1 Si 1.68
O 0.9557 0.8300 0.6729  1 Si 1.66
O 0.9622 0.6516 0.4448  1 Si 1.68
O 0.4367 0.9292 0.8398  1 Si 1.69
O 0.3896 0.6346 0.5928  1 Si 1.65
O 0.4849 0.1244 0.0586  1 Si 1.62
O 0.5633 0.9292 0.3398  1 Si 1.69
O 0.4563 0.3500 0.8459  1 Si 1.65
O 0.0443 0.8300 0.1729  1 Si 1.66
O 0.8789 0.1224 0.8862  1 Si 1.66
O 0.5151 0.1244 0.5586  1 Si 1.62
O 0.9596 0.4275 0.6632  1 Si 1.62
O 0.6104 0.6346 0.0928  1 Si 1.65
O 0.0404 0.4275 0.1632  1 Si 1.62
O 0.1211 0.1224 0.3862  1 Si 1.66
O 0.5437 0.3500 0.3459  1 Si 1.65
Li 0.5699 0.8839 0.6565  4 O 1.90-2.10
Li 0.4727 0.6264 0.9237  2 O 1.94-2.01
Li 0.0634 0.3764 0.8367  4 O 1.95-2.16
Li 0.5273 0.6264 0.4237  2 O 1.94-2.01
Li 0.4301 0.8839 0.1565  4 O 1.90-2.10
Li 0.9366 0.3764 0.3367  4 O 1.95-2.16
Si 0.0682 0.6320 0.5938  4 O 1.62-1.68
Si 0.4392 0.1353 0.4117  4 O 1.62-1.69
Si 0.5608 0.1353 0.9117  4 O 1.62-1.69
Si 0.9318 0.6320 0.0938  4 O 1.62-1.68
Fe 0.0631 0.8908 0.8371  4 O 1.87-1.94
Fe 0.4271 0.3692 0.1604  4 O 1.97-2.10
Fe 0.5729 0.3692 0.6604  4 O 1.97-2.10
Fe 0.9369 0.8908 0.3371  4 O 1.87-1.94

Properties
Polymorph energy (0 for the lowest one) (meV per atom): 4
Formation enthalpy at 0 K (eV/atom): -2.52
Space-group type: Pc, No. 7

---

- Which formula does entry 1 have?
  RbW3O9

---

- Number 4 is which compound?
  La3SmCr2Fe2O12

---

- formation enthalpy at 0 K of number 5 (Li3Mn4O8)?
  -2.06 eV/atom